(1)
# BaMg2In2

A relaxed structure of BaMg2In2 (r²SCAN, the Materials Project). Values from VASP.

Structure (Quantum ESPRESSO input):
```
&SYSTEM
  ibrav = 0, nat = 5, ntyp = 3
/
ATOMIC_SPECIES
Mg 24.30 Mg.upf
Ba 137.33 Ba.upf
In 114.82 In.upf
CELL_PARAMETERS angstrom
-2.4533 2.4533 6.2201
2.4533 -2.4533 6.2201
2.4533 2.4533 -6.2201
ATOMIC_POSITIONS crystal
Mg 0.2500 0.7500 0.5000
Mg 0.7500 0.2500 0.5000
Ba 0.0000 0.0000 0.0000
In 0.3845 0.3845 0.0000
In 0.6155 0.6155 0.0000
```

Space-group type: No. 139

(2)
# TaVH4

A relaxed structure of TaVH4 (r²SCAN, the Materials Project). Values from VASP.

Structure (Quantum ESPRESSO input):
```
&SYSTEM
  ibrav = 0, nat = 6, ntyp = 3
/
ATOMIC_SPECIES
H 1.01 H.upf
V 50.94 V.upf
Ta 180.95 Ta.upf
CELL_PARAMETERS angstrom
-3.2726 -0.8077 -4.1937
-4.2736 -2.6562 -1.9053
-5.0192 0.3603 -1.9044
ATOMIC_POSITIONS crystal
H 0.6198 0.6198 0.6198
H 0.1290 0.1290 0.1290
H 0.8710 0.8710 0.8710
H 0.3802 0.3802 0.3802
V 0.5000 0.5000 0.5000
Ta 0.0000 0.0000 0.0000
```

Space-group type: No. 166

(3)
# LaO

A relaxed structure of LaO (r²SCAN, the Materials Project). Values from VASP.

Structure (Quantum ESPRESSO input):
```
&SYSTEM
  ibrav = 0, nat = 2, ntyp = 2
/
ATOMIC_SPECIES
La 138.91 La.upf
O 16.00 O.upf
CELL_PARAMETERS angstrom
0.0000 2.5711 2.5711
2.5711 0.0000 2.5711
2.5711 2.5711 0.0000
ATOMIC_POSITIONS crystal
La 0.0000 0.0000 0.0000
O 0.5000 0.5000 0.5000
```

Space-group type: No. 225

(4)
# Ca3Mg

A relaxed structure of Ca3Mg (r²SCAN, the Materials Project). Values from VASP.

Structure (Quantum ESPRESSO input):
```
&SYSTEM
  ibrav = 0, nat = 8, ntyp = 2
/
ATOMIC_SPECIES
Ca 40.08 Ca.upf
Mg 24.30 Mg.upf
CELL_PARAMETERS angstrom
-0.8995 4.1350 6.1804
-5.9232 -3.2713 -3.2123
0.8651 -4.9269 3.4223
ATOMIC_POSITIONS crystal
Ca 0.8292 0.1708 0.2500
Ca 0.3416 0.1708 0.2500
Ca 0.8292 0.6584 0.2500
Ca 0.1708 0.8292 0.7500
Ca 0.6584 0.8292 0.7500
Ca 0.1708 0.3416 0.7500
Mg 0.6667 0.3333 0.7500
Mg 0.3333 0.6667 0.2500
```

Space-group type: No. 194

(5)
# LiMg2

A relaxed structure of LiMg2 (r²SCAN, the Materials Project). Values from VASP.

Structure (Quantum ESPRESSO input):
```
&SYSTEM
  ibrav = 0, nat = 6, ntyp = 2
/
ATOMIC_SPECIES
Mg 24.30 Mg.upf
Li 6.94 Li.upf
CELL_PARAMETERS angstrom
1.5750 -2.7279 0.0000
1.5750 2.7279 0.0000
0.0000 0.0000 15.2299
ATOMIC_POSITIONS crystal
Mg 0.6667 0.3333 0.0840
Mg 0.3333 0.6667 0.9160
Mg 0.6667 0.3333 0.7461
Mg 0.3333 0.6667 0.2539
Li 0.6667 0.3333 0.4175
Li 0.3333 0.6667 0.5825
```

Space-group type: No. 164

(6)
# KTa5O13

A relaxed structure of KTa5O13 (r²SCAN, the Materials Project). Values from VASP.

Structure (Quantum ESPRESSO input):
```
&SYSTEM
  ibrav = 0, nat = 76, ntyp = 3
/
ATOMIC_SPECIES
O 16.00 O.upf
Ta 180.95 Ta.upf
K 39.10 K.upf
CELL_PARAMETERS angstrom
-3.6376 -4.3307 0.4717
4.6438 -4.8161 -8.4066
10.6975 -7.8517 10.4075
ATOMIC_POSITIONS crystal
O 0.8683 0.7189 0.3739
O 0.1317 0.2189 0.1261
O 0.1286 0.6060 0.5036
O 0.3624 0.1251 0.9873
O 0.3998 0.7471 0.3883
O 0.4088 0.5039 0.8645
O 0.3678 0.1537 0.7500
O 0.5912 0.0039 0.6355
O 0.0893 0.0160 0.6374
O 0.8714 0.3940 0.4964
O 0.8714 0.1060 0.5036
O 0.6377 0.6251 0.9873
O 0.3998 0.7529 0.6117
O 0.8683 0.7811 0.8739
O 0.6002 0.2529 0.8883
O 0.1317 0.2189 0.3739
O 0.3624 0.3749 0.0127
O 0.3998 0.7471 0.1117
O 0.1286 0.8940 0.4964
O 0.6002 0.2471 0.3883
O 0.4088 0.9961 0.1355
O 0.5912 0.4961 0.3645
O 0.0893 0.0160 0.8626
O 0.3998 0.7529 0.8883
O 0.8714 0.1060 0.9964
O 0.6377 0.8749 0.0127
O 0.1286 0.6060 0.9964
O 0.8683 0.7189 0.1261
O 0.6322 0.6537 0.7500
O 0.0893 0.4840 0.1374
O 0.6377 0.6251 0.5127
O 0.4088 0.9961 0.3645
O 0.8714 0.3940 0.0036
O 0.9107 0.9840 0.1374
O 0.5912 0.0039 0.8645
O 0.6377 0.8749 0.4873
O 0.1286 0.8940 0.0036
O 0.3624 0.1251 0.5127
O 0.6002 0.2471 0.1117
O 0.4088 0.5039 0.6355
O 0.3678 0.3463 0.2500
O 0.9107 0.5160 0.8626
O 0.6322 0.8463 0.2500
O 0.8683 0.7811 0.6261
O 0.1317 0.2811 0.6261
O 0.9107 0.9840 0.3626
O 0.1317 0.2811 0.8739
O 0.0893 0.4840 0.3626
O 0.5912 0.4961 0.1355
O 0.9107 0.5160 0.6374
O 0.6002 0.2529 0.6117
O 0.3624 0.3749 0.4873
Ta 0.3449 0.3668 0.3629
Ta 0.6656 0.2500 0.5000
Ta 0.1609 0.0636 0.4239
Ta 0.6551 0.6332 0.6371
Ta 0.6551 0.8668 0.3629
Ta 0.3344 0.7500 0.0000
Ta 0.8391 0.5636 0.4239
Ta 0.6551 0.6332 0.8629
Ta 0.3449 0.3668 0.1371
Ta 0.3449 0.1332 0.6371
Ta 0.1609 0.4364 0.9239
Ta 0.1609 0.4364 0.5761
Ta 0.6656 0.2500 0.0000
Ta 0.3344 0.7500 0.5000
Ta 0.1609 0.0636 0.0761
Ta 0.8391 0.9364 0.5761
Ta 0.6551 0.8668 0.1371
Ta 0.8391 0.5636 0.0761
Ta 0.3449 0.1332 0.8629
Ta 0.8391 0.9364 0.9239
K 0.7974 0.1737 0.2500
K 0.2026 0.6737 0.2500
K 0.7974 0.3263 0.7500
K 0.2026 0.8263 0.7500
```

Space-group type: No. 57

(7)
# AsRh

A relaxed structure of AsRh (r²SCAN, the Materials Project). Values from VASP.

Structure (Quantum ESPRESSO input):
```
&SYSTEM
  ibrav = 0, nat = 8, ntyp = 2
/
ATOMIC_SPECIES
Rh 102.91 Rh.upf
As 74.92 As.upf
CELL_PARAMETERS angstrom
3.6133 0.0000 0.0000
0.0000 5.6831 0.0000
0.0000 0.0000 6.0947
ATOMIC_POSITIONS crystal
Rh 0.7500 0.5018 0.6951
Rh 0.7500 0.0018 0.8049
Rh 0.2500 0.9982 0.1951
Rh 0.2500 0.4982 0.3049
As 0.7500 0.3033 0.0863
As 0.2500 0.6967 0.9137
As 0.7500 0.8033 0.4137
As 0.2500 0.1967 0.5863
```

Space-group type: No. 62

(8)
# Ba3Ga4O9

A relaxed structure of Ba3Ga4O9 (r²SCAN, the Materials Project). Values from VASP.

Structure (Quantum ESPRESSO input):
```
&SYSTEM
  ibrav = 0, nat = 32, ntyp = 3
/
ATOMIC_SPECIES
Ga 69.72 Ga.upf
O 16.00 O.upf
Ba 137.33 Ba.upf
CELL_PARAMETERS angstrom
-6.8886 0.2344 1.5681
-3.9670 -3.5025 -6.4194
-2.0243 -8.5136 4.8506
ATOMIC_POSITIONS crystal
Ga 0.3340 0.5578 0.2286
Ga 0.5924 0.8199 0.6964
Ga 0.2584 0.7333 0.9326
Ga 0.4351 0.8175 0.4127
Ga 0.4076 0.1801 0.3036
Ga 0.6660 0.4422 0.7714
Ga 0.5649 0.1825 0.5873
Ga 0.7416 0.2667 0.0674
O 0.0343 0.7998 0.8653
O 0.2839 0.6723 0.3924
O 0.7774 0.6216 0.7252
O 0.6098 0.4841 0.1396
O 0.2633 0.0292 0.3893
O 0.5880 0.2071 0.3977
O 0.7161 0.3277 0.6076
O 0.3902 0.5159 0.8604
O 0.9657 0.2002 0.1347
O 0.7367 0.9708 0.6107
O 0.1974 0.7180 0.1238
O 0.3057 0.2350 0.6972
O 0.6943 0.7650 0.3028
O 0.4120 0.7929 0.6023
O 0.8026 0.2820 0.8762
O 0.5732 0.1185 0.1222
O 0.4268 0.8815 0.8778
O 0.2226 0.3784 0.2748
Ba 0.7004 0.7814 0.0344
Ba 0.1783 0.5631 0.6578
Ba 0.2996 0.2186 0.9656
Ba 0.8217 0.4369 0.3422
Ba 0.0522 0.0563 0.6881
Ba 0.9478 0.9437 0.3119
```

Space-group type: No. 2

(9)
# Cr2GaC

A relaxed structure of Cr2GaC (r²SCAN, the Materials Project). Values from VASP.

Structure (Quantum ESPRESSO input):
```
&SYSTEM
  ibrav = 0, nat = 8, ntyp = 3
/
ATOMIC_SPECIES
C 12.01 C.upf
Cr 52.00 Cr.upf
Ga 69.72 Ga.upf
CELL_PARAMETERS angstrom
-0.6702 -2.5790 -0.9924
-0.3767 0.6063 2.7524
-11.5248 3.9357 -2.4442
ATOMIC_POSITIONS crystal
C 0.0000 0.0000 0.0000
C 0.0000 0.0000 0.5000
Cr 0.6667 0.3333 0.9145
Cr 0.3333 0.6667 0.0855
Cr 0.6667 0.3333 0.5855
Cr 0.3333 0.6667 0.4145
Ga 0.3333 0.6667 0.7500
Ga 0.6667 0.3333 0.2500
```

Space-group type: No. 194

(10)
# Zr5ZnSb3

A relaxed structure of Zr5ZnSb3 (r²SCAN, the Materials Project). Values from VASP.

Structure (Quantum ESPRESSO input):
```
&SYSTEM
  ibrav = 0, nat = 18, ntyp = 3
/
ATOMIC_SPECIES
Zr 91.22 Zr.upf
Sb 121.76 Sb.upf
Zn 65.41 Zn.upf
CELL_PARAMETERS angstrom
8.6292 0.0000 0.0000
-4.3146 7.4731 0.0000
0.0000 0.0000 5.8608
ATOMIC_POSITIONS crystal
Zr 0.6667 0.3333 0.0000
Zr 0.7324 0.7324 0.2500
Zr 0.2676 0.0000 0.2500
Zr 0.3333 0.6667 0.5000
Zr 0.6667 0.3333 0.5000
Zr 0.2676 0.2676 0.7500
Zr 0.0000 0.2676 0.2500
Zr 0.7324 0.0000 0.7500
Zr 0.0000 0.7324 0.7500
Zr 0.3333 0.6667 0.0000
Sb 0.3856 0.0000 0.7500
Sb 0.0000 0.3856 0.7500
Sb 0.3856 0.3856 0.2500
Sb 0.6144 0.0000 0.2500
Sb 0.6144 0.6144 0.7500
Sb 0.0000 0.6144 0.2500
Zn 0.0000 0.0000 0.0000
Zn 0.0000 0.0000 0.5000
```

Space-group type: No. 193

(11)
# SrGe3Pt

A relaxed structure of SrGe3Pt (r²SCAN, the Materials Project). Values from VASP.

Structure (Quantum ESPRESSO input):
```
&SYSTEM
  ibrav = 0, nat = 5, ntyp = 3
/
ATOMIC_SPECIES
Ge 72.64 Ge.upf
Sr 87.62 Sr.upf
Pt 195.08 Pt.upf
CELL_PARAMETERS angstrom
-2.2566 2.2566 5.0608
2.2566 -2.2566 5.0608
2.2566 2.2566 -5.0608
ATOMIC_POSITIONS crystal
Ge 0.4016 0.4016 0.0000
Ge 0.7557 0.2557 0.5000
Ge 0.2557 0.7557 0.5000
Sr 0.0005 0.0005 0.0000
Pt 0.6466 0.6466 0.0000
```

Space-group type: No. 107

(12)
# TbMgNi

A relaxed structure of TbMgNi (r²SCAN, the Materials Project). Values from VASP.

Structure (Quantum ESPRESSO input):
```
&SYSTEM
  ibrav = 0, nat = 6, ntyp = 3
/
ATOMIC_SPECIES
Ni 58.69 Ni.upf
Tb 158.93 Tb.upf
Mg 24.30 Mg.upf
CELL_PARAMETERS angstrom
-2.9180 2.5943 8.1620
-0.6361 -2.2011 -8.7530
-0.5826 -3.7755 0.9917
ATOMIC_POSITIONS crystal
Ni 0.9579 0.0421 0.7500
Ni 0.0421 0.9579 0.2500
Tb 0.4132 0.5868 0.2500
Tb 0.5868 0.4132 0.7500
Mg 0.7962 0.2038 0.7500
Mg 0.2038 0.7962 0.2500
```

Space-group type: No. 63

(13)
# TbTmHg2

A relaxed structure of TbTmHg2 (r²SCAN, the Materials Project). Values from VASP.

Structure (Quantum ESPRESSO input):
```
&SYSTEM
  ibrav = 0, nat = 4, ntyp = 3
/
ATOMIC_SPECIES
Hg 200.59 Hg.upf
Tb 158.93 Tb.upf
Tm 168.93 Tm.upf
CELL_PARAMETERS angstrom
1.0893 -4.6234 -2.1107
-0.1188 -4.2891 2.9338
-3.7789 -3.5050 -0.6727
ATOMIC_POSITIONS crystal
Hg 0.5000 0.5000 0.5000
Hg 0.0000 0.0000 0.0000
Tb 0.2500 0.2500 0.2500
Tm 0.7500 0.7500 0.7500
```

Space-group type: No. 225

(14)
# SmCd

A relaxed structure of SmCd (r²SCAN, the Materials Project). Values from VASP.

Structure (Quantum ESPRESSO input):
```
&SYSTEM
  ibrav = 0, nat = 2, ntyp = 2
/
ATOMIC_SPECIES
Cd 112.41 Cd.upf
Sm 150.36 Sm.upf
CELL_PARAMETERS angstrom
3.7993 0.0000 0.0000
0.0000 3.7993 0.0000
0.0000 0.0000 3.7993
ATOMIC_POSITIONS crystal
Cd 0.0000 0.0000 0.0000
Sm 0.5000 0.5000 0.5000
```

Space-group type: No. 221

(15)
# NaLi3MgCl6

A relaxed structure of NaLi3MgCl6 (r²SCAN, the Materials Project). Values from VASP.

Structure (Quantum ESPRESSO input):
```
&SYSTEM
  ibrav = 0, nat = 33, ntyp = 4
/
ATOMIC_SPECIES
Mg 24.30 Mg.upf
Cl 35.45 Cl.upf
Na 22.99 Na.upf
Li 6.94 Li.upf
CELL_PARAMETERS angstrom
9.5330 0.0000 0.0000
-4.7665 8.2558 0.0000
0.0000 0.0000 8.8031
ATOMIC_POSITIONS crystal
Mg 0.3333 0.6667 0.1667
Mg 0.6667 0.3333 0.8333
Mg 0.0000 0.0000 0.5000
Cl 0.7887 0.5775 0.9926
Cl 0.4554 0.9108 0.3260
Cl 0.4554 0.5446 0.3260
Cl 0.8779 0.7558 0.3407
Cl 0.7558 0.8779 0.6593
Cl 0.1221 0.8779 0.6593
Cl 0.5446 0.0892 0.6740
Cl 0.4225 0.2113 0.9926
Cl 0.2442 0.1221 0.3407
Cl 0.7887 0.2113 0.9926
Cl 0.5775 0.7887 0.0074
Cl 0.1221 0.2442 0.6593
Cl 0.5446 0.4554 0.6740
Cl 0.2113 0.7887 0.0074
Cl 0.2113 0.4225 0.0074
Cl 0.8779 0.1221 0.3407
Cl 0.0892 0.5446 0.3260
Cl 0.9108 0.4554 0.6740
Na 0.6667 0.3333 0.3333
Na 0.3333 0.6667 0.6667
Na 0.0000 0.0000 0.0000
Li 0.6667 0.8333 0.3333
Li 0.8333 0.6667 0.6667
Li 0.3333 0.1667 0.6667
Li 0.8333 0.1667 0.6667
Li 0.5000 0.0000 0.0000
Li 0.0000 0.5000 0.0000
Li 0.1667 0.3333 0.3333
Li 0.1667 0.8333 0.3333
Li 0.5000 0.5000 0.0000
```

(16)
# BaNa4Ti2Si10B2O30

A relaxed structure of BaNa4Ti2Si10B2O30 (r²SCAN, the Materials Project). Values from VASP.

Structure (Quantum ESPRESSO input):
```
&SYSTEM
  ibrav = 0, nat = 49, ntyp = 6
/
ATOMIC_SPECIES
O 16.00 O.upf
Ti 47.87 Ti.upf
Ba 137.33 Ba.upf
Na 22.99 Na.upf
Si 28.09 Si.upf
B 10.81 B.upf
CELL_PARAMETERS angstrom
-6.5332 2.8439 -0.9509
-3.8260 -8.4687 2.9096
2.3307 6.7441 6.6280
ATOMIC_POSITIONS crystal
O 0.6278 0.0931 0.0925
O 0.3075 0.5269 0.7461
O 0.7857 0.0693 0.5754
O 0.7086 0.7820 0.9665
O 0.7216 0.5386 0.5488
O 0.0340 0.9264 0.6613
O 0.6925 0.4731 0.2539
O 0.6191 0.9587 0.2915
O 0.0316 0.6645 0.9299
O 0.3722 0.9069 0.9075
O 0.2914 0.2180 0.0335
O 0.3809 0.0413 0.7085
O 0.3103 0.7322 0.5151
O 0.7838 0.5689 0.0598
O 0.0168 0.5881 0.4125
O 0.7134 0.9683 0.7850
O 0.2162 0.4311 0.9402
O 0.2688 0.2335 0.5207
O 0.9660 0.0736 0.3387
O 0.6208 0.2832 0.9457
O 0.6897 0.2678 0.4849
O 0.3792 0.7168 0.0543
O 0.9684 0.3355 0.0701
O 0.2784 0.4614 0.4512
O 0.9832 0.4119 0.5875
O 0.2143 0.9307 0.4246
O 0.7309 0.4744 0.7570
O 0.7312 0.7665 0.4793
O 0.2691 0.5256 0.2430
O 0.2866 0.0317 0.2150
Ti 0.5031 0.9152 0.0868
Ti 0.4969 0.0848 0.9132
Ba 0.0000 0.0000 0.0000
Na 0.5120 0.2713 0.7144
Na 0.4880 0.7287 0.2856
Na 0.5070 0.7024 0.7023
Na 0.4930 0.2976 0.2977
Si 0.7656 0.4103 0.0755
Si 0.1926 0.3790 0.0744
Si 0.8003 0.5886 0.4260
Si 0.1890 0.0636 0.3723
Si 0.2361 0.9089 0.5811
Si 0.1997 0.4114 0.5740
Si 0.2344 0.5897 0.9245
Si 0.8110 0.9364 0.6277
Si 0.8074 0.6210 0.9256
Si 0.7639 0.0911 0.4189
B 0.7857 0.4230 0.5948
B 0.2143 0.5770 0.4052
```

Space-group type: No. 2

Number 1: E_form -0.3978 eV/atom. Number 2: E_form -0.1769 eV/atom. Number 3: E_form -3.0936 eV/atom. Number 4: E_form 0.0003 eV/atom. Number 5: E_form -0.0092 eV/atom. Number 6: E_form -3.0676 eV/atom. Number 7: E_form -0.5243 eV/atom. Number 8: E_form -2.4955 eV/atom. Number 9: E_form -0.0087 eV/atom. Number 10: E_form -0.8061 eV/atom. Number 11: E_form -0.6581 eV/atom. Number 12: E_form -0.3057 eV/atom. Number 13: E_form -0.5771 eV/atom. Number 14: E_form -0.3760 eV/atom. Number 15: E_form -1.9148 eV/atom. Number 16: E_form -2.9788 eV/atom.